No. 1
A relaxed structure of MgAg14Pb6O18, computed with PBE.

Final energy in Ha/atom: -0.1640
Distance to the lowest polymorph of the same formula in meV/atom: 14.1
Energy with MP2020 corrections in hartree per atom: -0.1757
Formation energy from the elements in eV/atom: -0.868
Space-group type: P1

abc: 9.145 8.843 8.851
angles: 73.85 108.96 108.90
Element x y z (fractional)
Mg 0.833 0.118 0.216
Ag 0.825 0.173 0.647
Ag 0.170 0.335 0.828
Ag 0.665 0.834 0.835
Ag 0.497 0.996 0.502
Ag 0.111 0.892 0.901
Ag 0.249 0.730 0.743
Ag 0.417 0.590 0.603
Ag 0.554 0.433 0.440
Ag 0.692 0.328 0.269
Ag 0.974 0.063 0.007
Ag 0.001 0.497 0.500
Ag 0.841 0.686 0.160
Ag 0.169 0.832 0.337
Ag 0.495 0.506 0.998
Pb 0.506 0.161 0.844
Pb 0.833 0.492 0.841
Pb 0.167 0.161 0.501
Pb 0.833 0.819 0.514
Pb 0.160 0.489 0.173
Pb 0.499 0.833 0.172
O 0.771 0.219 0.850
O 0.566 0.434 0.824
O 0.892 0.105 0.466
O 0.237 0.146 0.778
O 0.849 0.765 0.787
O 0.476 0.886 0.898
O 0.100 0.508 0.899
O 0.432 0.178 0.563
O 0.816 0.546 0.568
O 0.596 0.116 0.125
O 0.189 0.435 0.448
O 0.895 0.484 0.113
O 0.562 0.810 0.445
O 0.071 0.207 0.218
O 0.774 0.867 0.228
O 0.429 0.556 0.186
O 0.104 0.888 0.523
O 0.235 0.772 0.155

No. 2
A relaxed structure of Cr2CuS4, computed with PBE.

Final energy in Ha/atom: -0.2294
Distance to the lowest polymorph of the same formula in meV/atom: 99.9
Energy with MP2020 corrections in hartree per atom: -0.2399
Formation energy from the elements in eV/atom: -0.822
Space-group type: Pnma

abc: 5.632 6.950 11.958
angles: 90.00 90.00 90.00
Element x y z (fractional)
Cr 0.500 0.000 0.000
Cr 0.000 0.000 0.500
Cr 0.000 0.500 0.500
Cr 0.500 0.500 0.000
Cr 0.020 0.750 0.244
Cr 0.980 0.250 0.756
Cr 0.520 0.250 0.256
Cr 0.480 0.750 0.744
Cu 0.899 0.250 0.091
Cu 0.101 0.750 0.909
Cu 0.399 0.750 0.409
Cu 0.601 0.250 0.591
S 0.733 0.991 0.170
S 0.267 0.009 0.830
S 0.233 0.009 0.330
S 0.767 0.991 0.670
S 0.767 0.509 0.670
S 0.233 0.491 0.330
S 0.267 0.491 0.830
S 0.733 0.509 0.170
S 0.262 0.750 0.083
S 0.738 0.250 0.917
S 0.762 0.250 0.417
S 0.238 0.750 0.583
S 0.292 0.250 0.088
S 0.708 0.750 0.912
S 0.792 0.750 0.412
S 0.208 0.250 0.588

No. 3
A relaxed structure of Zr2In2SiS5O24, computed with PBE.

Final energy in Ha/atom: -0.2492
Energy with MP2020 corrections in hartree per atom: -0.2670
Formation energy from the elements in eV/atom: -2.341
Space-group type: P1

abc: 8.948 9.009 23.269
angles: 90.19 89.82 119.82
Element x y z (fractional)
Zr 0.997 0.006 0.643
Zr 0.008 0.008 0.143
Zr 0.675 0.323 0.477
Zr 0.335 0.659 0.022
Zr 0.337 0.668 0.522
Zr 0.342 0.675 0.313
In 0.995 0.001 0.355
In 0.002 0.000 0.853
In 0.674 0.336 0.687
In 0.662 0.335 0.186
In 0.659 0.331 0.980
In 0.331 0.666 0.813
Si 0.957 0.338 0.585
Si 0.384 0.334 0.083
Si 0.626 0.954 0.417
S 0.288 0.000 0.251
S 0.713 0.709 0.250
S 0.997 0.291 0.249
S 0.293 0.291 0.750
S 0.000 0.710 0.751
S 0.708 0.999 0.751
S 0.378 0.045 0.584
S 0.666 0.621 0.584
S 0.958 0.624 0.083
S 0.667 0.043 0.083
S 0.626 0.668 0.915
S 0.040 0.375 0.916
S 0.333 0.957 0.916
S 0.334 0.379 0.416
S 0.047 0.669 0.416
O 0.209 0.028 0.303
O 0.818 0.787 0.302
O 0.968 0.185 0.301
O 0.217 0.186 0.802
O 0.972 0.788 0.803
O 0.816 0.029 0.803
O 0.795 0.973 0.700
O 0.180 0.205 0.699
O 0.026 0.820 0.700
O 0.791 0.818 0.199
O 0.025 0.207 0.198
O 0.178 0.973 0.199
O 0.878 0.372 0.642
O 0.481 0.117 0.636
O 0.631 0.517 0.636
O 0.889 0.517 0.135
O 0.634 0.115 0.135
O 0.494 0.374 0.141
O 0.454 0.293 0.025
O 0.852 0.551 0.031
O 0.706 0.150 0.032
O 0.454 0.155 0.533
O 0.695 0.543 0.532
O 0.834 0.303 0.528
O 0.539 0.693 0.967
O 0.152 0.461 0.968
O 0.308 0.847 0.967
O 0.525 0.834 0.472
O 0.303 0.458 0.468
O 0.152 0.691 0.468
O 0.124 0.636 0.364
O 0.500 0.860 0.360
O 0.358 0.486 0.364
O 0.117 0.481 0.864
O 0.361 0.878 0.863
O 0.517 0.638 0.864
O 0.033 0.823 0.408
O 0.813 0.975 0.409
O 0.184 0.208 0.408
O 0.026 0.205 0.910
O 0.177 0.973 0.910
O 0.795 0.826 0.910
O 0.977 0.167 0.595
O 0.202 0.023 0.593
O 0.821 0.793 0.593
O 0.975 0.795 0.094
O 0.817 0.017 0.093
O 0.189 0.169 0.095
O 0.686 0.149 0.744
O 0.464 0.309 0.741
O 0.845 0.541 0.745
O 0.694 0.538 0.243
O 0.844 0.310 0.240
O 0.462 0.147 0.243
O 0.647 0.518 0.923
O 0.869 0.357 0.926
O 0.489 0.126 0.922
O 0.633 0.138 0.424
O 0.491 0.368 0.425
O 0.873 0.518 0.424
O 0.353 0.498 0.071
O 0.133 0.650 0.073
O 0.513 0.871 0.073
O 0.356 0.873 0.574
O 0.517 0.646 0.575
O 0.146 0.498 0.570
O 0.299 0.841 0.258
O 0.537 0.689 0.258
O 0.152 0.461 0.257
O 0.306 0.461 0.757
O 0.156 0.694 0.757
O 0.539 0.841 0.757

No. 4
A relaxed structure of Nd10S19, computed with PBE.

Final energy in Ha/atom: -0.2261
Energy with MP2020 corrections in hartree per atom: -0.2382
Formation energy from the elements in eV/atom: -2.128
Space-group type: P4_2/n

abc: 8.964 8.964 16.238
angles: 90.00 90.00 90.00
Element x y z (fractional)
Nd 0.098 0.209 0.128
Nd 0.500 0.000 0.635
Nd 0.895 0.805 0.647
Nd 0.195 0.895 0.353
Nd 0.402 0.291 0.372
Nd 0.902 0.791 0.128
Nd 0.805 0.105 0.353
Nd 0.291 0.598 0.628
Nd 0.695 0.395 0.147
Nd 0.500 0.000 0.135
Nd 0.105 0.195 0.647
Nd 0.709 0.402 0.628
Nd 0.791 0.098 0.872
Nd 0.605 0.695 0.853
Nd 0.209 0.902 0.872
Nd 0.598 0.709 0.372
Nd 0.000 0.500 0.365
Nd 0.395 0.305 0.853
Nd 0.305 0.605 0.147
Nd 0.000 0.500 0.865
S 0.898 0.803 0.312
S 0.000 0.500 0.184
S 0.173 0.361 0.500
S 0.299 0.598 0.324
S 0.701 0.402 0.324
S 0.280 0.054 0.501
S 0.000 0.500 0.684
S 0.780 0.554 0.999
S 0.220 0.446 0.999
S 0.946 0.280 0.499
S 0.361 0.827 0.500
S 0.500 0.000 0.816
S 0.720 0.946 0.501
S 0.799 0.098 0.176
S 0.446 0.780 0.001
S 0.139 0.673 0.000
S 0.327 0.139 0.000
S 0.102 0.197 0.312
S 0.554 0.220 0.001
S 0.500 0.500 0.500
S 0.303 0.602 0.812
S 0.402 0.299 0.676
S 0.827 0.639 0.500
S 0.098 0.201 0.824
S 0.902 0.799 0.824
S 0.054 0.720 0.499
S 0.602 0.697 0.188
S 0.598 0.701 0.676
S 0.500 0.000 0.316
S 0.861 0.327 0.000
S 0.398 0.303 0.188
S 0.639 0.173 0.500
S 0.697 0.398 0.812
S 0.000 0.000 0.000
S 0.673 0.861 0.000
S 0.803 0.102 0.688
S 0.201 0.902 0.176
S 0.197 0.898 0.688

No. 5
A relaxed structure of FeNi3, computed with PBE.

Final energy in Ha/atom: -0.2364
Formation energy from the elements in eV/atom: 0.019
Space-group type: Fm-3m

abc: 3.981 3.981 3.981
angles: 60.00 60.00 60.00
Element x y z (fractional)
Fe 0.000 0.000 0.000
Ni 0.750 0.750 0.750
Ni 0.250 0.250 0.250
Ni 0.500 0.500 0.500

No. 6
A relaxed structure of Rb3Li, computed with PBE.

Final energy in Ha/atom: -0.0392
Distance to the lowest polymorph of the same formula in meV/atom: 1.6
Formation energy from the elements in eV/atom: 0.145
Space-group type: Pm-3m

abc: 6.546 6.546 6.546
angles: 90.00 90.00 90.00
Element x y z (fractional)
Rb 0.000 0.500 0.500
Rb 0.500 0.000 0.500
Rb 0.500 0.500 0.000
Li 0.000 0.000 0.000

No. 7
A relaxed structure of Ce10Si10BrN17O9, computed with PBE.

Final energy in Ha/atom: -0.3059
Energy with MP2020 corrections in hartree per atom: -0.3108
Formation energy from the elements in eV/atom: -2.042
Space-group type: P1

abc: 10.640 11.296 11.628
angles: 90.02 90.03 90.08
Element x y z (fractional)
Ce 0.992 0.000 0.833
Ce 0.110 0.628 0.000
Ce 0.127 0.880 0.500
Ce 0.137 0.398 0.757
Ce 0.139 0.398 0.243
Ce 0.358 0.904 0.242
Ce 0.362 0.899 0.759
Ce 0.373 0.379 0.498
Ce 0.382 0.128 0.004
Ce 0.501 0.500 0.172
Ce 0.501 0.502 0.829
Ce 0.635 0.873 0.995
Ce 0.623 0.624 0.501
Ce 0.642 0.102 0.237
Ce 0.645 0.098 0.763
Ce 0.858 0.598 0.232
Ce 0.857 0.599 0.768
Ce 0.878 0.125 0.500
Ce 0.880 0.374 0.000
Ce 0.992 0.999 0.167
Si 0.116 0.745 0.247
Si 0.117 0.745 0.753
Si 0.150 0.143 0.637
Si 0.150 0.143 0.364
Si 0.213 0.887 0.000
Si 0.287 0.388 0.999
Si 0.349 0.644 0.636
Si 0.349 0.645 0.364
Si 0.385 0.239 0.245
Si 0.383 0.244 0.753
Si 0.616 0.756 0.246
Si 0.615 0.761 0.754
Si 0.651 0.355 0.636
Si 0.651 0.356 0.365
Si 0.718 0.611 0.000
Si 0.788 0.108 0.000
Si 0.850 0.855 0.365
Si 0.850 0.855 0.635
Si 0.885 0.261 0.245
Si 0.885 0.261 0.755
Br 0.040 0.472 0.500
Br 0.461 0.972 0.500
N 0.020 0.191 0.289
N 0.020 0.191 0.712
N 0.104 0.108 0.500
N 0.168 0.815 0.122
N 0.168 0.813 0.879
N 0.232 0.748 0.649
N 0.231 0.748 0.351
N 0.268 0.247 0.650
N 0.269 0.247 0.350
N 0.331 0.316 0.878
N 0.331 0.317 0.122
N 0.396 0.608 0.500
N 0.422 0.099 0.198
N 0.479 0.693 0.289
N 0.479 0.691 0.711
N 0.520 0.308 0.289
N 0.521 0.307 0.711
N 0.579 0.901 0.801
N 0.603 0.393 0.500
N 0.666 0.681 0.877
N 0.665 0.683 0.122
N 0.731 0.751 0.649
N 0.730 0.752 0.351
N 0.769 0.251 0.648
N 0.768 0.252 0.351
N 0.829 0.183 0.124
N 0.829 0.183 0.876
N 0.847 0.967 0.000
N 0.879 0.591 0.001
N 0.897 0.892 0.500
N 0.922 0.401 0.200
N 0.924 0.401 0.800
N 0.978 0.806 0.289
N 0.979 0.806 0.712
O 0.084 0.606 0.205
O 0.084 0.606 0.795
O 0.130 0.410 0.998
O 0.153 0.025 0.999
O 0.182 0.010 0.694
O 0.180 0.009 0.308
O 0.319 0.512 0.306
O 0.318 0.511 0.693
O 0.347 0.526 0.999
O 0.369 0.909 0.000
O 0.418 0.106 0.796
O 0.583 0.894 0.204
O 0.627 0.095 0.000
O 0.650 0.475 0.000
O 0.681 0.490 0.308
O 0.681 0.489 0.692
O 0.817 0.988 0.308
O 0.819 0.989 0.691

No. 8
A relaxed structure of NdCrB4, computed with PBE.

Final energy in Ha/atom: -0.2712
Formation energy from the elements in eV/atom: -0.523
Space-group type: Pbam

abc: 3.549 6.036 11.674
angles: 90.00 90.00 90.00
Element x y z (fractional)
Nd 0.000 0.624 0.349
Nd 0.000 0.376 0.651
Nd 0.000 0.124 0.151
Nd 0.000 0.876 0.849
Cr 0.000 0.620 0.078
Cr 0.000 0.380 0.922
Cr 0.000 0.120 0.422
Cr 0.000 0.880 0.578
B 0.500 0.777 0.181
B 0.500 0.223 0.819
B 0.500 0.277 0.319
B 0.500 0.723 0.681
B 0.500 0.859 0.033
B 0.500 0.141 0.967
B 0.500 0.359 0.467
B 0.500 0.641 0.533
B 0.500 0.889 0.454
B 0.500 0.111 0.546
B 0.500 0.389 0.046
B 0.500 0.611 0.954
B 0.500 0.977 0.311
B 0.500 0.023 0.689
B 0.500 0.477 0.189
B 0.500 0.523 0.811

Number 1: ρ 8.1 g cm⁻³. Number 2: ρ 4.2 g cm⁻³. Number 3: ρ 3.0 g cm⁻³. Number 4: ρ 5.2 g cm⁻³. Number 5: ρ 8.6 g cm⁻³. Number 6: ρ 1.6 g cm⁻³. Number 7: ρ 5.1 g cm⁻³. Number 8: ρ 6.4 g cm⁻³.